Record 1
! Li2VO3F, relaxed, DFT PBE+U; values from VASP
! relative energy among the computed polymorphs: 7.3 meV/atom
! electronic total energy: -0.227 Ha/atom
! magnetic moment: 0.0 Bohr magnetons per cell
! energy relative to the elements: -2.55 eV/atom
! total energy after the MP2020 corrections: -6.784 eV/atom
! crystal system: monoclinic
&SYSTEM
  ibrav = 0, nat = 28, ntyp = 4
/
ATOMIC_SPECIES
F 19.00 F.upf
O 16.00 O.upf
V 50.94 V.upf
Li 6.94 Li.upf
CELL_PARAMETERS angstrom
-4.634 3.429 0.336
-2.884 -4.439 2.307
-1.196 1.990 9.003
ATOMIC_POSITIONS angstrom
F -3.074 0.451 8.815
F -5.595 0.560 2.891
F -5.761 -0.386 7.879
F -2.905 1.388 3.830
O -1.647 1.094 1.530
O -6.960 0.812 5.153
O -3.234 -1.406 2.446
O -5.481 2.305 9.141
O -3.430 -2.302 7.320
O -4.390 -0.907 5.195
O -4.352 1.926 6.362
O -4.181 2.769 1.299
O -7.131 -0.114 10.137
O -1.815 0.153 6.517
O -5.338 3.235 4.303
O -4.599 -1.782 10.312
V -4.883 3.522 5.932
V -5.701 3.930 8.724
V -3.037 -3.085 2.837
V -3.898 -2.480 5.579
Li -1.296 -0.919 1.992
Li -5.127 -1.328 3.248
Li -6.125 1.469 7.298
Li -5.032 0.320 9.562
Li -4.817 1.046 4.629
Li -3.587 0.744 2.114
Li -2.345 2.108 5.985
Li -3.781 -0.081 7.072

Record 2
! Li2FeW2O8, relaxed, DFT PBE+U; values from VASP
! relative energy among the computed polymorphs: 0.0 meV/atom
! electronic total energy: -0.254 Ha/atom
! magnetic moment: 0.0 Bohr magnetons per cell
! energy relative to the elements: -2.20 eV/atom
! total energy after the MP2020 corrections: -8.183 eV/atom
! crystal system: triclinic
&SYSTEM
  ibrav = 0, nat = 26, ntyp = 4
/
ATOMIC_SPECIES
W 183.84 W.upf
O 16.00 O.upf
Fe 55.84 Fe.upf
Li 6.94 Li.upf
CELL_PARAMETERS angstrom
-1.187 -4.701 3.092
2.801 3.231 6.686
-5.613 1.642 3.432
ATOMIC_POSITIONS angstrom
W -3.577 -1.006 7.868
W -5.222 -1.966 5.261
W 1.227 2.138 7.948
W -0.426 1.179 5.342
O -3.474 -0.084 11.351
O -4.753 -2.657 6.975
O -5.165 -0.630 8.752
O 0.045 0.490 7.056
O -3.635 -2.342 4.377
O -0.368 2.514 8.826
O -0.521 0.264 1.847
O -2.525 0.342 8.464
O -1.176 -2.513 2.640
O 0.756 2.828 6.235
O -1.991 2.269 6.149
O -2.010 -2.101 7.057
O -4.046 -0.316 6.155
O -2.821 2.690 10.574
O 1.169 0.803 4.465
O -1.478 -0.178 4.758
Fe -1.595 -2.309 4.848
Fe -2.406 2.479 8.361
Li -3.342 0.012 4.021
Li -4.271 1.717 6.016
Li 0.273 -1.545 7.197
Li -0.659 0.161 9.186

Record 3
! BaMgMoO3, relaxed, DFT PBE+U; values from VASP
! relative energy among the computed polymorphs: 148.1 meV/atom
! electronic total energy: -0.209 Ha/atom
! magnetic moment: 3.8 Bohr magnetons per cell
! energy relative to the elements: -1.69 eV/atom
! total energy after the MP2020 corrections: -6.562 eV/atom
! crystal system: tetragonal
&SYSTEM
  ibrav = 0, nat = 6, ntyp = 4
/
ATOMIC_SPECIES
O 16.00 O.upf
Mo 95.94 Mo.upf
Mg 24.30 Mg.upf
Ba 137.33 Ba.upf
CELL_PARAMETERS angstrom
4.152 0.000 0.000
0.000 6.751 0.000
0.000 0.000 4.152
ATOMIC_POSITIONS angstrom
O 0.000 3.376 0.000
O 2.076 0.000 0.000
O 0.000 0.000 2.076
Mo 0.000 0.000 0.000
Mg 2.076 0.000 2.076
Ba 2.076 3.376 2.076

Record 4
! Mg6MnCO8, relaxed, DFT PBE+U; values from VASP
! relative energy among the computed polymorphs: 7.2 meV/atom
! electronic total energy: -0.222 Ha/atom
! magnetic moment: 5.0 Bohr magnetons per cell
! energy relative to the elements: -2.27 eV/atom
! total energy after the MP2020 corrections: -6.494 eV/atom
! crystal system: tetragonal
&SYSTEM
  ibrav = 0, nat = 16, ntyp = 4
/
ATOMIC_SPECIES
Mg 24.30 Mg.upf
O 16.00 O.upf
Mn 54.94 Mn.upf
C 12.01 C.upf
CELL_PARAMETERS angstrom
8.606 0.000 0.000
0.000 4.253 0.000
0.000 0.000 4.253
ATOMIC_POSITIONS angstrom
Mg 6.470 2.126 0.000
Mg 6.470 0.000 2.126
Mg 4.303 0.000 0.000
Mg 2.135 0.000 2.126
Mg 2.135 2.126 0.000
Mg 4.303 2.126 2.126
O 2.160 2.126 2.126
O 2.198 0.000 0.000
O 0.000 2.126 0.000
O 4.303 0.000 2.126
O 6.445 2.126 2.126
O 0.000 0.000 2.126
O 6.408 0.000 0.000
O 4.303 2.126 0.000
Mn 0.000 0.000 0.000
C 0.000 2.126 2.126

Record 5
! Li9Mn2Co5O16, relaxed, DFT PBE+U; values from VASP
! relative energy among the computed polymorphs: 85.5 meV/atom
! electronic total energy: -0.212 Ha/atom
! magnetic moment: 9.8 Bohr magnetons per cell
! energy relative to the elements: -1.78 eV/atom
! total energy after the MP2020 corrections: -6.473 eV/atom
! crystal system: monoclinic
&SYSTEM
  ibrav = 0, nat = 32, ntyp = 4
/
ATOMIC_SPECIES
O 16.00 O.upf
Co 58.93 Co.upf
Mn 54.94 Mn.upf
Li 6.94 Li.upf
CELL_PARAMETERS angstrom
5.862 -3.138 1.434
6.765 -0.615 0.357
0.748 5.762 14.131
ATOMIC_POSITIONS angstrom
O 1.401 0.857 3.184
O 3.393 3.952 12.108
O 9.939 -1.979 3.694
O 9.313 -0.745 6.062
O 8.708 0.647 8.818
O 4.702 1.352 7.112
O 5.234 0.191 4.837
O 0.582 2.245 5.749
O 6.044 -1.276 2.078
O 11.971 1.156 12.748
O 12.845 -0.243 10.201
O 2.021 -0.373 0.821
O 7.372 3.285 13.880
O 11.367 2.349 15.038
O 3.910 2.805 9.853
O 8.094 1.843 11.105
Co 11.537 -1.141 7.000
Co 3.345 0.540 4.071
Co 9.965 1.495 11.860
Co 8.075 -1.635 2.939
Co 1.882 3.145 8.949
Mn 5.336 3.633 12.990
Mn 0.042 -0.003 0.029
Li 10.638 0.181 9.344
Li 6.735 0.994 7.977
Li 6.109 2.286 10.481
Li 7.367 -0.307 5.459
Li 2.661 1.812 6.478
Li 3.966 -0.787 1.480
Li 11.977 -2.420 4.371
Li 1.402 4.435 11.570
Li 9.378 2.835 14.509

Record 6
! Ba2MgCo2O6, relaxed, DFT PBE+U; values from VASP
! relative energy among the computed polymorphs: 49.4 meV/atom
! electronic total energy: -0.216 Ha/atom
! magnetic moment: 8.0 Bohr magnetons per cell
! energy relative to the elements: -2.07 eV/atom
! total energy after the MP2020 corrections: -6.552 eV/atom
! crystal system: triclinic
&SYSTEM
  ibrav = 0, nat = 11, ntyp = 4
/
ATOMIC_SPECIES
O 16.00 O.upf
Co 58.93 Co.upf
Ba 137.33 Ba.upf
Mg 24.30 Mg.upf
CELL_PARAMETERS angstrom
5.700 -0.009 -0.014
-2.855 5.591 -0.931
-0.011 -0.879 5.238
ATOMIC_POSITIONS angstrom
O 0.001 1.582 -0.031
O 1.441 3.887 4.365
O 1.386 0.376 2.547
O 2.837 3.560 1.705
O -1.458 3.896 4.348
O 4.285 0.367 2.565
Co -0.009 -0.659 3.929
Co -0.003 -0.220 1.310
Ba -0.015 2.789 2.403
Ba 2.842 1.475 4.509
Mg 2.847 -0.224 1.303

Record 7
! Li3Fe8B8O24, relaxed, DFT PBE+U; values from VASP
! relative energy among the computed polymorphs: 11.4 meV/atom
! electronic total energy: -0.263 Ha/atom
! magnetic moment: 37.0 Bohr magnetons per cell
! energy relative to the elements: -2.24 eV/atom
! total energy after the MP2020 corrections: -7.957 eV/atom
! crystal system: triclinic
&SYSTEM
  ibrav = 0, nat = 43, ntyp = 4
/
ATOMIC_SPECIES
B 10.81 B.upf
O 16.00 O.upf
Li 6.94 Li.upf
Fe 55.84 Fe.upf
CELL_PARAMETERS angstrom
-3.318 -2.566 3.158
6.799 -2.066 5.853
-1.797 8.404 5.276
ATOMIC_POSITIONS angstrom
B -0.082 0.021 7.517
B -3.178 4.906 8.227
B 4.906 -1.063 6.104
B 1.839 5.128 9.560
B 1.753 3.743 6.730
B -3.312 3.590 5.425
B -1.811 2.328 3.105
B -0.239 -1.362 4.718
O 1.332 6.002 8.611
O 2.478 2.897 7.567
O 2.137 1.475 11.237
O 5.192 -2.063 7.023
O 2.579 -3.180 8.419
O 1.255 0.096 7.657
O -1.781 4.668 8.183
O 4.343 1.176 8.133
O -0.655 6.798 5.926
O 4.190 2.514 10.620
O -3.658 5.890 7.346
O -0.469 2.445 3.395
O 3.616 -0.592 5.975
O -1.615 -0.947 4.596
O -2.555 1.277 3.650
O 1.054 4.482 10.458
O 3.250 4.911 9.598
O -0.730 0.910 6.608
O 0.659 -0.798 3.869
O 2.411 1.699 5.060
O -0.933 2.223 9.239
O -2.575 2.637 6.167
O 0.420 3.496 6.509
O 0.061 -2.347 5.611
Li -0.522 6.214 7.778
Li 0.418 1.951 5.122
Li 1.233 3.747 12.198
Fe 2.787 0.934 6.922
Fe -2.603 6.575 5.633
Fe -1.119 2.920 7.448
Fe -2.372 0.684 5.541
Fe -0.898 4.253 10.171
Fe 3.965 3.158 8.797
Fe 2.576 -0.430 4.196
Fe -2.404 -0.659 2.798

Record 8
! Li7Mn5O12, relaxed, DFT PBE+U; values from VASP
! relative energy among the computed polymorphs: 17.7 meV/atom
! electronic total energy: -0.235 Ha/atom
! magnetic moment: 18.0 Bohr magnetons per cell
! energy relative to the elements: -2.14 eV/atom
! total energy after the MP2020 corrections: -7.079 eV/atom
! crystal system: triclinic
&SYSTEM
  ibrav = 0, nat = 24, ntyp = 3
/
ATOMIC_SPECIES
O 16.00 O.upf
Li 6.94 Li.upf
Mn 54.94 Mn.upf
CELL_PARAMETERS angstrom
4.917 -0.052 2.004
1.562 7.373 2.108
-0.092 -0.084 6.064
ATOMIC_POSITIONS angstrom
O 1.138 0.599 1.444
O 1.218 0.566 4.771
O 4.847 4.280 3.921
O 1.796 3.103 3.476
O 5.246 6.626 8.695
O 4.032 1.644 7.982
O 2.359 5.595 2.214
O 4.614 4.187 6.724
O 4.098 1.800 4.977
O 2.149 5.392 5.001
O 5.166 6.617 5.395
O 1.706 3.069 6.506
Li 2.811 1.188 3.579
Li 3.678 6.100 6.716
Li 4.852 -0.077 5.018
Li 3.173 3.587 5.068
Li 3.045 3.492 7.983
Li 3.720 6.184 3.815
Li 2.668 1.074 6.344
Mn 0.501 2.408 1.724
Mn 1.041 4.914 3.487
Mn -0.091 -0.083 6.060
Mn 5.344 2.309 6.686
Mn 5.889 4.828 8.482